# 1
Material: Ba2GdCl7
Method: DFT, PBE
State: optimized geometry

Cell: 15.7615 6.9589 10.6988 Å, 89.24 90.00 90.00°
With the nearest neighbours (Å) after each atom.
Fractional coordinates of all 40 atoms:
Ba1 0.2794 0.7322 0.0499  9 Cl 3.14-3.38
Ba2 0.5607 0.7325 0.6756  9 Cl 3.14-3.39
Ba3 0.7794 0.2678 0.4501  9 Cl 3.14-3.38
Ba4 0.7206 0.2678 0.9501  9 Cl 3.14-3.38
Ba5 0.2206 0.7322 0.5499  9 Cl 3.14-3.38
Ba6 0.9393 0.7325 0.1756  9 Cl 3.14-3.39
Ba7 0.4393 0.2675 0.3244  9 Cl 3.14-3.39
Ba8 0.0607 0.2675 0.8244  9 Cl 3.14-3.39
Cl1 0.9289 0.1312 0.6239  1 Gd 2.75
Cl2 0.1039 0.9992 0.0711  1 Gd 2.77
Cl3 0.7739 0.0010 0.2048  1 Gd 2.77
Cl4 0.7261 0.0010 0.7048  1 Gd 2.77
Cl5 0.3591 0.2904 0.0307  1 Gd 2.71
Cl6 0.6048 0.5125 0.4150  1 Gd 2.84
Cl7 0.3961 0.9992 0.5711  1 Gd 2.77
Cl8 0.9595 0.3007 0.2901  1 Gd 2.71
Cl9 0.1048 0.4875 0.0850  1 Gd 2.84
Cl10 0.0405 0.6993 0.7099  1 Gd 2.71
Cl11 0.4595 0.6993 0.2099  1 Gd 2.71
Cl12 0.7419 0.5105 0.6970  1 Gd 2.81
Cl13 0.2261 0.9990 0.7952  1 Gd 2.77
Cl14 0.8952 0.5125 0.9150  1 Gd 2.84
Cl15 0.1409 0.2904 0.5307  1 Gd 2.71
Cl16 0.7581 0.5105 0.1970  1 Gd 2.81
Cl17 0.2739 0.9990 0.2952  1 Gd 2.77
Cl18 0.0711 0.8688 0.3761  1 Gd 2.75
Cl19 0.8591 0.7096 0.4693  1 Gd 2.71
Cl20 0.2419 0.4895 0.8030  1 Gd 2.81
Cl21 0.5711 0.1312 0.1239  1 Gd 2.75
Cl22 0.8961 0.0008 0.9289  1 Gd 2.77
Cl23 0.5405 0.3007 0.7901  1 Gd 2.71
Cl24 0.2581 0.4895 0.3030  1 Gd 2.81
Cl25 0.6409 0.7096 0.9693  1 Gd 2.71
Cl26 0.3952 0.4875 0.5850  1 Gd 2.84
Cl27 0.4289 0.8688 0.8761  1 Gd 2.75
Cl28 0.6039 0.0008 0.4289  1 Gd 2.77
Gd1 0.6273 0.7832 0.2170  7 Cl 2.71-2.84
Gd2 0.1273 0.2168 0.2830  7 Cl 2.71-2.84
Gd3 0.8727 0.7832 0.7170  7 Cl 2.71-2.84
Gd4 0.3727 0.2168 0.7830  7 Cl 2.71-2.84

Density, g cm⁻³: 3.850
E_form, kJ/mol of atoms: -277.2
Space group: P2_1/c

# 2
Material: Ba2HCl2
Method: DFT, PBE
State: optimized geometry

Cell: 6.3476 6.3476 14.2348 Å, 90.00 90.00 90.00°
With the nearest neighbours (Å) after each atom.
Fractional coordinates of all 5 atoms:
H1 0.5000 0.5000 0.0000  2 Ba 2.53
Cl1 0.5000 0.5000 0.3681  1 Ba 2.71
Cl2 0.5000 0.5000 0.6319  1 Ba 2.71
Ba1 0.5000 0.5000 0.1778  1 H 2.53, 1 Cl 2.71
Ba2 0.5000 0.5000 0.8222  1 H 2.53, 1 Cl 2.71

Density, g cm⁻³: 1.003
E_form, kJ/mol of atoms: -90.0
Space group: P4/mmm

Question: Which of these has the lowest density?
Answer: Ba2HCl2

Question: Number 1 is which compound?
Answer: Ba2GdCl7